[1]
Entry from Materials Project: an optimized crystal structure of HfCuSi (GGA-PBE).

Computed properties:
As for the corrected total energy (MP2020 scheme): -84.9 eV/cell. Its formation energy is -0.583 eV/atom.

Cell lengths 6.456, 3.888, 7.289 Å; angles 90.00, 90.00, 90.00 degrees
Space group Pnma (No. 62)
Unique sites:
Hf 0.012 0.250 0.190
Cu 0.166 0.250 0.575
Si 0.222 0.750 0.396

---

[2]
Entry from Materials Project: an optimized crystal structure of Hf4CuSi3 (GGA-PBE).

Computed properties:
As for the corrected total energy (MP2020 scheme): -65.5 eV/cell. As for the total magnetization: 0.002 μB per atom. Its formation energy is -0.656 eV/atom.

Cell lengths 3.726, 3.731, 9.942 Å; angles 90.00, 90.00, 90.00 degrees
Space group Pmm2 (No. 25)
Unique sites:
Hf 0.000 0.000 0.000
Hf 0.000 0.500 0.292
Hf 0.500 0.000 0.497
Hf 0.500 0.500 0.793
Cu 0.000 0.000 0.719
Si 0.000 0.500 0.571
Si 0.500 0.000 0.226
Si 0.500 0.500 0.065

---

[3]
Entry from Materials Project: an optimized crystal structure of Hf2CuTc (GGA-PBE).

Computed properties:
Its formation energy is -0.338 eV/atom.

Cell lengths 6.519, 6.519, 6.519 Å; angles 90.00, 90.00, 90.00 degrees
Space group Fm-3m (No. 225)
Unique sites:
Hf 0.250 0.250 0.250
Cu 0.000 0.000 0.000
Tc 0.000 0.000 0.500

---

[4]
Entry from Materials Project: an optimized crystal structure of Hf6Zn16Cu7 (GGA-PBE).

Computed properties:
As for the total magnetization: 0.001 μB per atom. Its formation energy is -0.201 eV/atom.

Cell lengths 12.063, 12.063, 12.063 Å; angles 90.00, 90.00, 90.00 degrees
Space group Fm-3m (No. 225)
Unique sites:
Hf 0.000 0.000 0.192
Zn 0.120 0.120 0.380
Zn 0.166 0.166 0.166
Cu 0.000 0.000 0.500
Cu 0.000 0.250 0.250

---

no.,theoretical density (Mg/m³),calculated total energy (eV for the cell shown)
1,9.8,-85.2
2,10.4,-65.7
3,12.4,-142.9
4,9.7,-457.7